# Sr3Ag | Materials Project | PBE | optimized geometry
data_Sr3Ag
_cell_length_a 5.4909
_cell_length_b 5.4909
_cell_length_c 5.4909
_cell_angle_alpha 90.00
_cell_angle_beta 90.00
_cell_angle_gamma 90.00
_space_group_name_H-M_alt 'P m -3 m'
_space_group_IT_number 221
_space_group_name_Hall '-P 4 2 3'
loop_
_atom_site_label
_atom_site_fract_x
_atom_site_fract_y
_atom_site_fract_z
Sr1 0.0000 0.0000 0.5000
Ag1 0.5000 0.5000 0.5000
# Energy of formation from the pure elements = 0.03 eV per atom
# E_tot = -1.950 eV/atom
# V = 166 Å³/f.u.